A relaxed FeSO8 crystal, computed with GGA+U.

The structure in POSCAR format:
```
FeSO8
1.0
-5.3473 -0.7641 6.5784
8.6306 -8.6479 2.0149
3.1320 4.7217 3.0911
O Fe S
32 4 4
Cartesian
2.3074 -3.3466 3.1038
-1.7533 1.5188 8.4628
7.4213 -7.0857 5.4019
4.4132 -8.8200 6.9009
-0.0229 -2.1236 7.5110
2.0021 4.1297 4.7835
2.6626 -6.5796 7.1685
3.5419 -4.1543 9.6502
3.0708 -2.9350 0.8152
5.6935 -3.6902 6.8278
4.9180 -4.3664 6.0914
5.3458 -6.9996 8.5937
1.4974 -0.3240 5.5930
6.4383 -2.5667 4.1734
2.8734 -0.5361 2.0342
-2.3481 -2.1133 5.7959
-1.0060 2.3954 6.2825
1.3687 -0.3795 6.8877
8.7634 -2.5770 5.8885
4.9320 -0.1749 4.3373
5.6145 -4.5716 10.7746
7.7807 -4.7483 5.1232
0.8009 -0.1188 0.9097
3.7527 1.8892 4.5159
5.0467 -4.3108 4.7967
0.7218 -1.0001 4.8566
3.3446 -1.7554 10.8691
1.4833 -4.5154 7.3471
4.1079 -1.3438 8.5805
8.1687 -6.2091 3.2216
-1.3653 0.0580 6.5612
1.0695 2.3093 3.0907
3.6906 -7.9892 8.2775
8.0515 -2.9127 4.3793
2.7247 3.2989 3.4068
-1.6362 -1.7777 7.3051
1.3664 -5.9001 6.8811
8.2575 -6.1419 4.7111
-1.8422 1.4516 6.9733
5.0489 1.2098 4.8033
```

Calculated values
Volume = 16.391 Å³ per atom
Spin magnetization = 10.0 μB/cell
Energy of formation = -0.27 eV per atom
Symmetry = P-1, No. 2

---

A relaxed KBaGdWO6 crystal, computed with GGA+U.

The structure in POSCAR format:
```
KBaGdWO6
1.0
0.0000 -4.2566 -4.2566
4.2566 0.0000 -4.2566
4.2566 -4.2566 0.0000
O K Gd Ba W
6 1 1 1 1
Cartesian
4.2566 -4.2566 -2.2943
4.2566 -6.2188 -4.2566
2.2943 -4.2566 -4.2566
6.2188 -4.2566 -4.2566
4.2566 -4.2566 -6.2188
4.2566 -2.2943 -4.2566
6.3848 -6.3848 -6.3848
0.0000 0.0000 0.0000
2.1283 -2.1283 -2.1283
4.2566 -4.2566 -4.2566
```

Calculated values
Volume = 15.424 Å³ per atom
Spin magnetization = 7.0 μB/cell
Energy of formation = -2.94 eV per atom
Symmetry = F-43m, No. 216

---

What is the volume in the second record?
15.424 Å³ per atom